1.
Entry from the Materials Project database: crystalline V2O3F at its relaxed geometry (r2SCAN).

Geometry as extended XYZ:
```
30
Lattice="-1.648 -0.814 4.227 -1.587 -3.955 -1.757 12.730 -6.737 3.666" Properties=species:S:1:pos:R:3 pbc="T T T"
V 3.441 -3.509 5.690
V 5.993 -4.860 6.425
V 8.547 -6.212 7.159
V 0.887 -2.158 4.953
V -1.647 -0.854 4.152
V 7.295 -7.250 3.515
V 2.205 -4.557 2.049
V -0.351 -2.931 1.839
V 9.841 -8.325 4.774
V 4.745 -5.608 3.346
O 9.833 -7.500 6.355
O -0.375 -2.099 3.416
O 4.729 -4.793 4.897
O 9.195 -6.843 3.669
O 6.652 -5.496 2.948
O 4.108 -4.150 2.215
O 1.569 -2.807 1.473
O -0.981 -1.443 0.756
O 7.926 -8.713 4.638
O 5.387 -7.361 3.914
O 2.843 -6.014 3.181
O 0.300 -4.677 2.442
O -2.254 -3.319 1.729
O 7.315 -8.068 1.963
O 2.217 -5.370 0.495
F 7.280 -6.158 5.603
F 2.179 -3.458 4.134
F 4.766 -6.702 1.260
F 9.852 -9.392 2.729
F -0.321 -4.009 -0.200
```

## Properties
Energy ... -329.7 eV for the cell shown
Space-group type ... Amm2 (38)
Crystal system ... orthorhombic
Offset from the most stable computed form ... 7 meV per atom
Total magnetization ... 15.0 μB per cell
Volume ... 63 Å³/f.u.

2.
Entry from the Materials Project database: crystalline V4O7F5 at its relaxed geometry (r2SCAN).

Geometry as extended XYZ:
```
16
Lattice="-5.137 -0.014 0.001 -2.582 -4.526 0.005 -0.008 -2.718 8.364" Properties=species:S:1:pos:R:3 pbc="T T T"
V -4.871 -3.019 2.067
V -2.436 -1.414 3.992
V -2.771 -4.441 6.269
V -5.004 -2.701 8.257
O -4.767 -4.417 3.134
O -4.031 -3.596 0.754
O -4.050 -5.200 5.565
O -3.715 -2.026 2.873
O -3.723 -3.650 7.664
O -2.190 -5.812 7.315
O -1.173 -2.277 3.442
F -6.642 -4.842 4.958
F -6.656 -3.888 1.397
F -5.608 -1.488 1.074
F -3.043 -2.755 5.309
F -1.133 -3.371 7.068
```

## Properties
Energy ... -156.7 eV for the cell shown
Space-group type ... P1 (1)
Crystal system ... triclinic
Offset from the most stable computed form ... 0 meV per atom
Total magnetization ... 1.0 μB per cell
Volume ... 194 Å³/f.u.

3.
Entry from the Materials Project database: crystalline V3O4F2 at its relaxed geometry (r2SCAN).

Geometry as extended XYZ:
```
18
Lattice="0.782 4.323 -1.370 5.103 -2.485 -4.930 -4.210 -0.339 -3.473" Properties=species:S:1:pos:R:3 pbc="T T T"
V 0.554 -1.873 -5.737
V 0.928 3.292 -4.138
V -1.254 1.052 -5.325
V 3.148 0.517 -4.441
V -1.602 1.856 -2.384
V 4.962 -2.375 -4.863
O 0.233 2.154 -5.496
O 3.930 -0.962 -5.490
O -0.154 3.151 -2.587
O -0.786 0.536 -3.472
O 0.440 1.213 -8.223
O -0.499 -0.430 -6.214
O 2.159 1.926 -3.540
O 1.844 -1.615 -7.166
F -2.271 2.500 -4.264
F 1.171 0.300 -1.512
F 2.495 0.941 -6.346
F 1.498 -0.692 -4.340
```

## Properties
Energy ... -196.3 eV for the cell shown
Space-group type ... P2_1 (4)
Crystal system ... monoclinic
Offset from the most stable computed form ... 0 meV per atom
Total magnetization ... 10.0 μB per cell
Volume ... 94 Å³/f.u.

4.
Entry from the Materials Project database: crystalline V2OF5 at its relaxed geometry (r2SCAN).

Geometry as extended XYZ:
```
24
Lattice="2.545 1.394 -4.183 0.001 12.571 4.188 2.545 -1.394 4.183" Properties=species:S:1:pos:R:3 pbc="T T T"
V 0.059 6.230 2.175
V 4.940 0.093 -0.009
V 2.434 10.915 2.091
V 2.587 7.949 4.355
V 2.655 4.770 -0.076
V 2.598 1.637 1.991
O 3.509 8.612 5.589
O 3.027 6.140 -0.968
O 3.647 0.960 0.613
F 3.468 10.228 0.615
F 1.030 5.597 0.665
F 1.045 0.687 1.438
F 1.506 11.647 3.579
F 1.546 7.267 2.748
F 1.574 3.962 -1.496
F 1.585 2.266 3.590
F 1.991 12.437 1.018
F 1.970 6.369 5.250
F 2.042 3.184 1.038
F 3.014 9.431 3.132
F 3.107 0.106 3.048
F 3.608 5.265 1.535
F 4.082 11.892 2.648
F 4.074 6.920 3.601
```

## Properties
Energy ... -224.1 eV for the cell shown
Space-group type ... P3_2 (145)
Crystal system ... trigonal
Offset from the most stable computed form ... 0 meV per atom
Total magnetization ... 9.0 μB per cell
Volume ... 99 Å³/f.u.

So what do the calculations give for ΔH_f (0 K)? Going down the list: -2.79 -2.68 -2.86 -3.11 eV per atom.